A relaxed EuReO3 crystal. Source: the Materials Project, functional PBE.

V in Å³ per atom: 12.8
Energy of formation from the pure elements in eV per atom: -2.3596
Space group: Pm-3m (221)
DFT total energy in eV/atom: -9.46

Cell: 4.0014 4.0014 4.0014 Å, 90.00 90.00 90.00°
With the nearest neighbours (Å) after each atom.
Positions (direct):
O  0.5000  0.5000  0.0000  2 Re 2.00
O  0.5000  0.0000  0.5000  2 Re 2.00
O  0.0000  0.5000  0.5000  2 Re 2.00
Eu  0.0000  0.0000  0.0000  12 O 2.83
Re  0.5000  0.5000  0.5000  6 O 2.00